1.
# PrGe2Rh2 GGA-PBE relaxed
data_PrGe2Rh2
_chemical_formula_sum 'Pr2 Ge4 Rh4'
_symmetry_space_group_name_H-M 'P 1'
_symmetry_Int_Tables_number 1
_symmetry_space_group_name_Hall 'P 1'
_cell_length_a 4.195
_cell_length_b 4.195
_cell_length_c 10.614
_cell_angle_alpha 90.00
_cell_angle_beta 90.00
_cell_angle_gamma 90.00
loop_
_atom_site_label
_atom_site_fract_x
_atom_site_fract_y
_atom_site_fract_z
_atom_site_occupancy
Pr1 0.000 0.000 0.000 1
Pr2 0.500 0.500 0.500 1
Ge1 0.000 0.000 0.375 1
Ge2 0.000 0.000 0.625 1
Ge3 0.500 0.500 0.125 1
Ge4 0.500 0.500 0.875 1
Rh1 0.000 0.500 0.250 1
Rh2 0.000 0.500 0.750 1
Rh3 0.500 0.000 0.250 1
Rh4 0.500 0.000 0.750 1
# - E_tot: -6.64 eV/atom
# - Formation enthalpy at 0 K: -85.8 kJ/mol of atoms
# - SG: I4/mmm



2.
# Rb2Na2MgTi2O6 GGA-PBE relaxed
data_Rb2Na2MgTi2O6
_chemical_formula_sum 'Rb2 Na2 Mg1 Ti2 O6'
_symmetry_space_group_name_H-M 'P 1'
_symmetry_Int_Tables_number 1
_symmetry_space_group_name_Hall 'P 1'
_cell_length_a 5.654
_cell_length_b 6.312
_cell_length_c 6.320
_cell_angle_alpha 66.97
_cell_angle_beta 88.53
_cell_angle_gamma 83.58
loop_
_atom_site_label
_atom_site_fract_x
_atom_site_fract_y
_atom_site_fract_z
_atom_site_occupancy
Rb1 0.000 0.000 0.000 1
Rb2 0.404 0.321 0.176 1
Na1 0.469 0.993 0.815 1
Na2 0.914 0.076 0.483 1
Mg1 0.815 0.565 0.310 1
Ti1 0.402 0.620 0.566 1
Ti2 0.935 0.556 0.752 1
O1 0.176 0.779 0.709 1
O2 0.247 0.350 0.734 1
O3 0.485 0.737 0.251 1
O4 0.670 0.783 0.647 1
O5 0.732 0.373 0.633 1
O6 0.907 0.412 0.091 1
# - Energy above the lowest structure with this stoichiometry: 0.4 kJ per mole of atoms
# - Size of the total moment: 0.00 μB per formula unit
# - E_tot: -5.99 eV/atom
# - Formation enthalpy at 0 K: -225.2 kJ/mol of atoms
# - SG: P1



3.
# YTlP2Se6 GGA-PBE relaxed
data_YTlP2Se6
_chemical_formula_sum 'Y2 Tl2 P4 Se12'
_symmetry_space_group_name_H-M 'P 1'
_symmetry_Int_Tables_number 1
_symmetry_space_group_name_Hall 'P 1'
_cell_length_a 6.871
_cell_length_b 7.663
_cell_length_c 10.363
_cell_angle_alpha 90.00
_cell_angle_beta 91.13
_cell_angle_gamma 90.00
loop_
_atom_site_label
_atom_site_fract_x
_atom_site_fract_y
_atom_site_fract_z
_atom_site_occupancy
Y1 0.215 0.000 0.002 1
Y2 0.785 0.500 0.998 1
Tl1 0.316 0.222 0.508 1
Tl2 0.684 0.722 0.492 1
P1 0.190 0.730 0.296 1
P2 0.312 0.511 0.176 1
P3 0.688 0.011 0.824 1
P4 0.810 0.230 0.704 1
Se1 0.068 0.311 0.828 1
Se2 0.075 0.312 0.170 1
Se3 0.153 0.638 0.490 1
Se4 0.371 0.635 0.984 1
Se5 0.400 0.941 0.267 1
Se6 0.409 0.915 0.744 1
Se7 0.591 0.415 0.256 1
Se8 0.600 0.441 0.733 1
Se9 0.629 0.135 0.016 1
Se10 0.847 0.138 0.510 1
Se11 0.925 0.812 0.830 1
Se12 0.932 0.811 0.172 1
# - Size of the total moment: 0.00 μB per formula unit
# - E_tot: -4.69 eV/atom
# - Formation enthalpy at 0 K: -88.1 kJ/mol of atoms
# - SG: P2_1



4.
# FeNi GGA-PBE relaxed
data_FeNi
_chemical_formula_sum 'Fe1 Ni1'
_symmetry_space_group_name_H-M 'P 1'
_symmetry_Int_Tables_number 1
_symmetry_space_group_name_Hall 'P 1'
_cell_length_a 2.507
_cell_length_b 2.507
_cell_length_c 3.581
_cell_angle_alpha 90.00
_cell_angle_beta 90.00
_cell_angle_gamma 90.00
loop_
_atom_site_label
_atom_site_fract_x
_atom_site_fract_y
_atom_site_fract_z
_atom_site_occupancy
Fe1 0.000 0.000 0.000 1
Ni1 0.500 0.500 0.500 1
# - E_tot: -7.19 eV/atom
# - Formation enthalpy at 0 K: -6.5 kJ/mol of atoms
# - SG: P4/mmm